1.
An optimized crystal structure of DyFeB4. Source: the Materials Project, functional r²SCAN.

Unit cell a=3.4127 b=5.8888 c=11.4021 alpha=90.00 beta=90.00 gamma=90.00
Closest atoms and distances in Å follow each position.
Positions (direct):
Dy  0.0000  0.6273  0.3497  14 B 2.58-2.72
Dy  0.0000  0.3727  0.6503  14 B 2.58-2.72
Dy  0.0000  0.1273  0.1503  14 B 2.58-2.72
Dy  0.0000  0.8727  0.8497  14 B 2.58-2.72
Fe  0.0000  0.6287  0.0837  10 B 2.24-2.28, 1 Fe 2.44
Fe  0.0000  0.3713  0.9163  10 B 2.24-2.28, 1 Fe 2.44
Fe  0.0000  0.1287  0.4163  10 B 2.24-2.28, 1 Fe 2.44
Fe  0.0000  0.8713  0.5837  10 B 2.24-2.28, 1 Fe 2.44
B  0.5000  0.7812  0.1834  3 B 1.78-1.85
B  0.5000  0.2188  0.8166  3 B 1.78-1.85
B  0.5000  0.2812  0.3166  3 B 1.78-1.85
B  0.5000  0.7188  0.6834  3 B 1.78-1.85
B  0.5000  0.8613  0.0329  3 B 1.72-1.80
B  0.5000  0.1387  0.9671  3 B 1.72-1.80
B  0.5000  0.3613  0.4671  3 B 1.72-1.80
B  0.5000  0.6387  0.5329  3 B 1.72-1.80
B  0.5000  0.8877  0.4534  3 B 1.70-1.72
B  0.5000  0.1123  0.5466  3 B 1.70-1.72
B  0.5000  0.3877  0.0466  3 B 1.70-1.72
B  0.5000  0.6123  0.9534  3 B 1.70-1.72
B  0.5000  0.9776  0.3095  3 B 1.72-1.85
B  0.5000  0.0224  0.6905  3 B 1.72-1.85
B  0.5000  0.4776  0.1905  3 B 1.72-1.85
B  0.5000  0.5224  0.8095  3 B 1.72-1.85

The formation energy comes out at -0.60 eV/atom. As for the symmetry: Pbam, No. 55. For the electronic total energy, the calculation gives -13.2268 eV per atom.


2.
An optimized crystal structure of Dy3FeB7. Source: the Materials Project, functional r²SCAN.

Unit cell a=8.0288 b=8.0288 c=9.2949 alpha=90.00 beta=90.00 gamma=155.50
Closest atoms and distances in Å follow each position.
Positions (direct):
Dy  0.8954  0.1046  0.4397  11 B 2.61-2.71
Dy  0.1046  0.8954  0.5603  11 B 2.61-2.71
Dy  0.8954  0.1046  0.0603  11 B 2.61-2.71
Dy  0.1046  0.8954  0.9397  11 B 2.61-2.71
Dy  0.2429  0.7571  0.2500  10 B 2.62-2.67
Dy  0.7571  0.2429  0.7500  10 B 2.62-2.67
Fe  0.0545  0.9455  0.2500  10 B 2.26
Fe  0.9455  0.0545  0.7500  10 B 2.26
B  0.7273  0.2727  0.4676  3 B 1.90-1.94
B  0.2727  0.7273  0.5324  3 B 1.90-1.94
B  0.7273  0.2727  0.0324  3 B 1.90-1.94
B  0.2727  0.7273  0.9676  3 B 1.90-1.94
B  0.6299  0.3701  0.1534  3 B 1.77-1.90
B  0.3701  0.6299  0.8466  3 B 1.77-1.90
B  0.6299  0.3701  0.3466  3 B 1.77-1.90
B  0.3701  0.6299  0.6534  3 B 1.77-1.90
B  0.5220  0.4780  0.0997  2 B 1.70-1.77
B  0.4780  0.5220  0.9003  2 B 1.70-1.77
B  0.5220  0.4780  0.4003  2 B 1.70-1.77
B  0.4780  0.5220  0.5997  2 B 1.70-1.77
B  0.4602  0.5398  0.2500  2 B 1.70
B  0.5398  0.4602  0.7500  2 B 1.70

The formation energy comes out at -0.62 eV/atom. As for the symmetry: Cmcm, No. 63. For the electronic total energy, the calculation gives -15.3237 eV per atom.


3.
An optimized crystal structure of DyB2Ir3. Source: the Materials Project, functional r²SCAN.

Unit cell a=3.1501 b=5.4310 c=5.4310 alpha=120.00 beta=90.00 gamma=90.00
Closest atoms and distances in Å follow each position.
Positions (direct):
Dy  0.5000  0.5000  0.5000  6 B 3.14, 12 Ir 3.14, 2 Dy 3.15
B  0.5000  0.8333  0.1667  6 Ir 2.22
B  0.5000  0.1667  0.8333  6 Ir 2.22
Ir  0.0000  0.5000  0.0000  4 B 2.22
Ir  0.0000  0.0000  0.5000  4 B 2.22
Ir  0.0000  0.0000  0.0000  4 B 2.22

The formation energy comes out at -0.77 eV/atom. As for the symmetry: P6/mmm, No. 191. For the electronic total energy, the calculation gives -34.7302 eV per atom.